1.
! RbSn3As3, relaxed, DFT PBE; values from VASP
! Spin magnetization (μB/f.u.): 0.0
! Formation enthalpy at 0 K (eV/atom): -0.254
! Crystal system: orthorhombic
&SYSTEM
  ibrav = 0, nat = 28, ntyp = 3
/
ATOMIC_SPECIES
Rb 85.47 Rb.upf
Sn 118.71 Sn.upf
As 74.92 As.upf
CELL_PARAMETERS angstrom
10.532 0.000 0.000
0.000 4.186 0.000
0.000 0.000 20.004
ATOMIC_POSITIONS crystal
Rb 0.212 0.250 0.040
Rb 0.288 0.750 0.540
Rb 0.712 0.250 0.460
Rb 0.788 0.750 0.960
Sn 0.021 0.250 0.624
Sn 0.102 0.750 0.241
Sn 0.181 0.750 0.848
Sn 0.319 0.250 0.348
Sn 0.398 0.250 0.741
Sn 0.479 0.750 0.124
Sn 0.521 0.250 0.876
Sn 0.602 0.750 0.259
Sn 0.681 0.750 0.652
Sn 0.819 0.250 0.152
Sn 0.898 0.250 0.759
Sn 0.979 0.750 0.376
As 0.027 0.250 0.876
As 0.119 0.250 0.428
As 0.237 0.750 0.719
As 0.263 0.250 0.219
As 0.381 0.750 0.928
As 0.473 0.750 0.376
As 0.527 0.250 0.624
As 0.619 0.250 0.072
As 0.737 0.750 0.781
As 0.763 0.250 0.281
As 0.881 0.750 0.572
As 0.973 0.750 0.124

***

2.
! Mg2BN2Cl, relaxed, DFT PBE; values from VASP
! Spin magnetization (μB/f.u.): 0.0
! Formation enthalpy at 0 K (eV/atom): -1.282
! Crystal system: orthorhombic
&SYSTEM
  ibrav = 0, nat = 48, ntyp = 4
/
ATOMIC_SPECIES
Mg 24.30 Mg.upf
B 10.81 B.upf
N 14.01 N.upf
Cl 35.45 Cl.upf
CELL_PARAMETERS angstrom
6.685 0.000 0.000
0.000 9.839 0.000
0.000 0.000 10.655
ATOMIC_POSITIONS crystal
Mg 0.058 0.249 0.193
Mg 0.058 0.251 0.693
Mg 0.197 0.048 0.442
Mg 0.197 0.452 0.942
Mg 0.303 0.548 0.442
Mg 0.303 0.952 0.942
Mg 0.442 0.749 0.193
Mg 0.442 0.751 0.693
Mg 0.558 0.249 0.307
Mg 0.558 0.251 0.807
Mg 0.697 0.048 0.058
Mg 0.697 0.452 0.558
Mg 0.803 0.548 0.058
Mg 0.803 0.952 0.558
Mg 0.942 0.749 0.307
Mg 0.942 0.751 0.807
B 0.143 0.539 0.199
B 0.143 0.961 0.699
B 0.357 0.039 0.199
B 0.357 0.461 0.699
B 0.643 0.539 0.301
B 0.643 0.961 0.801
B 0.857 0.039 0.301
B 0.857 0.461 0.801
N 0.071 0.057 0.622
N 0.071 0.443 0.122
N 0.205 0.641 0.274
N 0.205 0.859 0.774
N 0.295 0.141 0.274
N 0.295 0.359 0.774
N 0.429 0.557 0.622
N 0.429 0.943 0.122
N 0.571 0.057 0.878
N 0.571 0.443 0.378
N 0.705 0.641 0.226
N 0.705 0.859 0.726
N 0.795 0.141 0.226
N 0.795 0.359 0.726
N 0.929 0.557 0.878
N 0.929 0.943 0.378
Cl 0.064 0.158 0.959
Cl 0.064 0.342 0.459
Cl 0.436 0.658 0.959
Cl 0.436 0.842 0.459
Cl 0.564 0.158 0.541
Cl 0.564 0.342 0.041
Cl 0.936 0.658 0.541
Cl 0.936 0.842 0.041

***

3.
! Ce3Si2S8Br, relaxed, DFT PBE; values from VASP
! Spin magnetization (μB/f.u.): 3.0
! Formation enthalpy at 0 K (eV/atom): -1.777
! Crystal system: monoclinic
&SYSTEM
  ibrav = 0, nat = 28, ntyp = 4
/
ATOMIC_SPECIES
Ce 140.12 Ce.upf
Si 28.09 Si.upf
S 32.06 S.upf
Br 79.90 Br.upf
CELL_PARAMETERS angstrom
7.912 -3.890 0.000
7.912 3.890 0.000
-1.428 0.000 10.904
ATOMIC_POSITIONS crystal
Ce 0.108 0.892 0.750
Ce 0.185 0.425 0.316
Ce 0.425 0.185 0.816
Ce 0.575 0.815 0.184
Ce 0.815 0.575 0.684
Ce 0.892 0.108 0.250
Si 0.128 0.192 0.030
Si 0.192 0.128 0.530
Si 0.808 0.872 0.470
Si 0.872 0.808 0.970
S 0.054 0.244 0.839
S 0.092 0.776 0.453
S 0.103 0.608 0.856
S 0.211 0.357 0.586
S 0.224 0.908 0.047
S 0.244 0.054 0.339
S 0.357 0.211 0.086
S 0.392 0.897 0.644
S 0.608 0.103 0.356
S 0.643 0.789 0.914
S 0.756 0.946 0.661
S 0.776 0.092 0.953
S 0.789 0.643 0.414
S 0.897 0.392 0.144
S 0.908 0.224 0.547
S 0.946 0.756 0.161
Br 0.492 0.508 0.250
Br 0.508 0.492 0.750

***

4.
! Cu, relaxed, DFT PBE; values from VASP
! Formation enthalpy at 0 K (eV/atom): 0.007
! Crystal system: hexagonal
! Relative energy among the computed polymorphs (eV per atom): 0.007
&SYSTEM
  ibrav = 0, nat = 2, ntyp = 1
/
ATOMIC_SPECIES
Cu 63.55 Cu.upf
CELL_PARAMETERS angstrom
2.551 0.000 0.000
-1.276 2.209 0.000
0.000 0.000 4.190
ATOMIC_POSITIONS crystal
Cu 0.333 0.667 0.250
Cu 0.667 0.333 0.750

***

5.
! Cs2HgSbF6, relaxed, DFT PBE; values from VASP
! Spin magnetization (μB/f.u.): 0.0
! Formation enthalpy at 0 K (eV/atom): -2.516
! Crystal system: cubic
&SYSTEM
  ibrav = 0, nat = 10, ntyp = 4
/
ATOMIC_SPECIES
Cs 132.91 Cs.upf
Hg 200.59 Hg.upf
Sb 121.76 Sb.upf
F 19.00 F.upf
CELL_PARAMETERS angstrom
0.000 4.970 4.970
4.970 0.000 4.970
4.970 4.970 0.000
ATOMIC_POSITIONS crystal
Cs 0.250 0.250 0.250
Cs 0.750 0.750 0.750
Hg 0.000 0.000 0.000
Sb 0.500 0.500 0.500
F 0.290 0.290 0.710
F 0.290 0.710 0.290
F 0.290 0.710 0.710
F 0.710 0.290 0.290
F 0.710 0.290 0.710
F 0.710 0.710 0.290

***

6.
! Nd2S3O17, relaxed, DFT PBE; values from VASP
! Spin magnetization (μB/f.u.): 0.1
! Formation enthalpy at 0 K (eV/atom): -1.342
! Crystal system: monoclinic
&SYSTEM
  ibrav = 0, nat = 44, ntyp = 3
/
ATOMIC_SPECIES
Nd 144.24 Nd.upf
S 32.06 S.upf
O 16.00 O.upf
CELL_PARAMETERS angstrom
7.984 -5.095 0.000
7.984 5.095 0.000
-5.355 0.000 8.669
ATOMIC_POSITIONS crystal
Nd 0.129 0.871 0.500
Nd 0.636 0.901 0.349
Nd 0.871 0.129 0.000
Nd 0.901 0.636 0.849
S 0.006 0.760 0.672
S 0.235 0.818 0.162
S 0.535 0.950 0.687
S 0.760 0.006 0.172
S 0.818 0.235 0.662
S 0.950 0.535 0.187
O 0.075 0.601 0.327
O 0.121 0.139 0.506
O 0.131 0.987 0.152
O 0.139 0.121 0.006
O 0.170 0.691 0.024
O 0.172 0.764 0.702
O 0.237 0.805 0.303
O 0.270 0.363 0.855
O 0.359 0.417 0.832
O 0.363 0.270 0.355
O 0.366 0.967 0.674
O 0.405 0.799 0.176
O 0.417 0.359 0.332
O 0.418 0.502 0.429
O 0.502 0.418 0.929
O 0.530 0.968 0.548
O 0.597 0.995 0.139
O 0.601 0.075 0.827
O 0.629 0.655 0.844
O 0.640 0.780 0.695
O 0.655 0.629 0.344
O 0.691 0.170 0.524
O 0.764 0.172 0.202
O 0.780 0.640 0.195
O 0.799 0.405 0.676
O 0.805 0.237 0.803
O 0.828 0.897 0.040
O 0.869 0.947 0.310
O 0.897 0.828 0.540
O 0.947 0.869 0.810
O 0.967 0.366 0.174
O 0.968 0.530 0.048
O 0.987 0.131 0.652
O 0.995 0.597 0.639